Arrangement P

Cu5P2O12: optimized geometry, PBE.

Values from the calculation:
total moment: 1.00 μB/f.u.
calculated volume: 11.3 Å³/atom

Cell lengths 4.6184, 5.6032, 16.5668 Å; angles 90.00, 91.60, 90.00 degrees
Last column: nearest neighbours and their distance in Å.
Element x y z (fractional)
1 Cu 0.0000 0.0000 0.0000  4 O 1.87-1.94
2 Cu 0.0000 0.5000 0.5000  4 O 1.87-1.94
3 Cu 0.0150 0.1758 0.2446  4 O 1.86-1.97
4 Cu 0.0150 0.3242 0.7446  4 O 1.86-1.97
5 Cu 0.0718 0.5158 0.0836  4 O 1.88-1.91
6 Cu 0.0718 0.9842 0.5836  4 O 1.88-1.91
7 Cu 0.9282 0.0158 0.4164  4 O 1.88-1.91
8 Cu 0.9282 0.4842 0.9164  4 O 1.88-1.91
9 Cu 0.9850 0.6758 0.2554  4 O 1.86-1.97
10 Cu 0.9850 0.8242 0.7554  4 O 1.86-1.97
11 P 0.4772 0.0857 0.8681  4 O 1.51-1.60
12 P 0.4772 0.4143 0.3681  4 O 1.51-1.60
13 P 0.5228 0.5857 0.6319  4 O 1.51-1.60
14 P 0.5228 0.9143 0.1319  4 O 1.51-1.60
15 O 0.1158 0.5696 0.8190  3 Cu 1.86-1.91
16 O 0.1158 0.9304 0.3190  3 Cu 1.86-1.91
17 O 0.1507 0.6791 0.9861  3 Cu 1.88-1.94
18 O 0.1507 0.8209 0.4861  3 Cu 1.88-1.94
19 O 0.2605 0.0733 0.7909  1 P 1.60
20 O 0.2605 0.4267 0.2909  1 P 1.60
21 O 0.2962 0.1452 0.9428  1 P 1.55
22 O 0.2962 0.3548 0.4428  1 P 1.55
23 O 0.3363 0.1356 0.1286  1 P 1.51
24 O 0.3363 0.3644 0.6286  1 P 1.51
25 O 0.3387 0.6878 0.1490  1 P 1.56
26 O 0.3387 0.8122 0.6490  1 P 1.56
27 O 0.6613 0.1878 0.3510  1 P 1.56
28 O 0.6613 0.3122 0.8510  1 P 1.56
29 O 0.6637 0.6356 0.3714  1 P 1.51
30 O 0.6637 0.8644 0.8714  1 P 1.51
31 O 0.7038 0.6452 0.5572  1 P 1.55
32 O 0.7038 0.8548 0.0572  1 P 1.55
33 O 0.7395 0.5733 0.7091  1 P 1.60
34 O 0.7395 0.9267 0.2091  1 P 1.60
35 O 0.8493 0.1791 0.5139  3 Cu 1.88-1.94
36 O 0.8493 0.3209 0.0139  3 Cu 1.88-1.94
37 O 0.8842 0.0696 0.6810  3 Cu 1.86-1.91
38 O 0.8842 0.4304 0.1810  3 Cu 1.86-1.91

Arrangement Q

Cu5P2O12: optimized geometry, PBE.

Values from the calculation:
total moment: 0.38 μB/f.u.
calculated volume: 11.3 Å³/atom

Cell lengths 4.5718, 5.7438, 8.4270 Å; angles 76.07, 89.60, 84.53 degrees
Last column: nearest neighbours and their distance in Å.
Element x y z (fractional)
1 Cu 0.0000 0.0000 0.0000  4 O 1.86-1.87
2 Cu 0.0000 0.0000 0.5000  4 O 1.88-1.96
3 Cu 0.0000 0.5000 0.0000  4 O 1.87-1.99
4 Cu 0.0526 0.5419 0.3303  4 O 1.86-1.91
5 Cu 0.9474 0.4581 0.6697  4 O 1.86-1.91
6 P 0.4935 0.8433 0.7702  4 O 1.51-1.61
7 P 0.5065 0.1567 0.2298  4 O 1.51-1.61
8 O 0.1263 0.2844 0.8731  3 Cu 1.86-1.91
9 O 0.1423 0.3022 0.5237  3 Cu 1.86-1.96
10 O 0.2890 0.4012 0.1843  1 P 1.61
11 O 0.3038 0.8025 0.6301  1 P 1.55
12 O 0.3052 0.8116 0.9278  1 P 1.56
13 O 0.3254 0.9448 0.2660  1 P 1.51
14 O 0.6746 0.0552 0.7340  1 P 1.51
15 O 0.6948 0.1884 0.0722  1 P 1.56
16 O 0.6962 0.1975 0.3699  1 P 1.55
17 O 0.7110 0.5988 0.8157  1 P 1.61
18 O 0.8577 0.6978 0.4763  3 Cu 1.86-1.96
19 O 0.8737 0.7156 0.1269  3 Cu 1.86-1.91

Most stable structure - arrangement P; separation to the second - 0.005 eV/atom.